(1)
Material: LaMgI5
Method: DFT, PBE
State: optimized geometry

Unit cell a=4.361 b=15.139 c=17.476 alpha=90.00 beta=90.00 gamma=90.00
Space group Cmcm (No. 63)
One atom of each set of equivalent atoms:
1 La 0.000 0.015 0.250 [4 per cell]
2 Mg 0.000 0.500 0.000 [4 per cell]
3 I 0.000 0.108 0.066 [8 per cell]
4 I 0.000 0.333 0.750 [4 per cell]
5 I 0.000 0.400 0.144 [8 per cell]



(2)
Material: Na3TaGa3P5SO24
Method: DFT, PBE
State: optimized geometry

Summary:
total moment = 0.0 μB per cell

Unit cell a=8.610 b=8.621 c=22.239 alpha=89.79 beta=89.61 gamma=60.08
Space group P1 (No. 1)
One atom of each set of equivalent atoms:
1 Na 0.000 0.000 0.000 [1 per cell]
2 Na 0.001 0.368 0.244 [1 per cell]
3 Na 0.006 0.002 0.498 [1 per cell]
4 Na 0.330 0.341 0.667 [1 per cell]
5 Na 0.337 0.335 0.162 [1 per cell]
6 Na 0.659 0.677 0.828 [1 per cell]
7 Na 0.661 0.674 0.330 [1 per cell]
8 Na 0.671 0.029 0.581 [1 per cell]
9 Na 0.969 0.339 0.915 [1 per cell]
10 Ta 0.001 0.000 0.349 [1 per cell]
11 Ta 0.002 0.991 0.849 [1 per cell]
12 Ta 0.329 0.340 0.517 [1 per cell]
13 Ga 0.005 0.994 0.643 [1 per cell]
14 Ga 0.327 0.335 0.013 [1 per cell]
15 Ga 0.339 0.335 0.310 [1 per cell]
16 Ga 0.344 0.335 0.812 [1 per cell]
17 Ga 0.659 0.676 0.681 [1 per cell]
18 Ga 0.666 0.667 0.477 [1 per cell]
19 Ga 0.666 0.668 0.977 [1 per cell]
20 Ga 0.669 0.668 0.181 [1 per cell]
21 Ga 0.999 0.009 0.145 [1 per cell]
22 P 0.001 0.712 0.243 [1 per cell]
23 P 0.040 0.342 0.411 [1 per cell]
24 P 0.047 0.617 0.913 [1 per cell]
25 P 0.296 0.705 0.743 [1 per cell]
26 P 0.298 0.998 0.243 [1 per cell]
27 P 0.341 0.622 0.411 [1 per cell]
28 P 0.344 0.044 0.913 [1 per cell]
29 P 0.375 0.951 0.579 [1 per cell]
30 P 0.614 0.341 0.914 [1 per cell]
31 P 0.619 0.042 0.411 [1 per cell]
32 P 0.674 0.382 0.580 [1 per cell]
33 P 0.703 0.294 0.244 [1 per cell]
34 P 0.704 0.002 0.743 [1 per cell]
35 P 0.949 0.671 0.580 [1 per cell]
36 P 0.958 0.377 0.079 [1 per cell]
37 S 0.001 0.295 0.744 [1 per cell]
38 S 0.376 0.668 0.079 [1 per cell]
39 S 0.667 0.959 0.079 [1 per cell]
40 O 0.024 0.810 0.905 [1 per cell]
41 O 0.026 0.168 0.405 [1 per cell]
42 O 0.031 0.181 0.692 [1 per cell]
43 O 0.034 0.798 0.188 [1 per cell]
44 O 0.124 0.368 0.354 [1 per cell]
45 O 0.124 0.504 0.856 [1 per cell]
46 O 0.141 0.503 0.572 [1 per cell]
47 O 0.147 0.360 0.072 [1 per cell]
48 O 0.162 0.310 0.752 [1 per cell]
49 O 0.162 0.546 0.969 [1 per cell]
50 O 0.163 0.305 0.467 [1 per cell]
51 O 0.165 0.524 0.252 [1 per cell]
52 O 0.166 0.029 0.904 [1 per cell]
53 O 0.166 0.809 0.406 [1 per cell]
54 O 0.171 0.041 0.190 [1 per cell]
55 O 0.174 0.795 0.689 [1 per cell]
56 O 0.185 0.982 0.587 [1 per cell]
57 O 0.196 0.830 0.085 [1 per cell]
58 O 0.202 0.830 0.800 [1 per cell]
59 O 0.204 0.970 0.301 [1 per cell]
60 O 0.291 0.165 0.968 [1 per cell]
61 O 0.302 0.539 0.468 [1 per cell]
62 O 0.306 0.171 0.253 [1 per cell]
63 O 0.306 0.524 0.753 [1 per cell]
64 O 0.359 0.143 0.571 [1 per cell]
65 O 0.361 0.505 0.073 [1 per cell]
66 O 0.367 0.128 0.855 [1 per cell]
67 O 0.367 0.509 0.356 [1 per cell]
68 O 0.454 0.702 0.024 [1 per cell]
69 O 0.457 0.844 0.522 [1 per cell]
70 O 0.479 0.693 0.740 [1 per cell]
71 O 0.480 0.829 0.238 [1 per cell]
72 O 0.487 0.638 0.133 [1 per cell]
73 O 0.496 0.883 0.635 [1 per cell]
74 O 0.502 0.646 0.419 [1 per cell]
75 O 0.502 0.855 0.921 [1 per cell]
76 O 0.503 0.356 0.572 [1 per cell]
77 O 0.505 0.139 0.073 [1 per cell]
78 O 0.506 0.129 0.356 [1 per cell]
79 O 0.509 0.371 0.856 [1 per cell]
80 O 0.520 0.311 0.253 [1 per cell]
81 O 0.521 0.170 0.752 [1 per cell]
82 O 0.539 0.161 0.469 [1 per cell]
83 O 0.540 0.299 0.970 [1 per cell]
84 O 0.631 0.497 0.636 [1 per cell]
85 O 0.633 0.881 0.134 [1 per cell]
86 O 0.644 0.856 0.420 [1 per cell]
87 O 0.649 0.500 0.920 [1 per cell]
88 O 0.695 0.829 0.740 [1 per cell]
89 O 0.696 0.477 0.239 [1 per cell]
90 O 0.698 0.848 0.024 [1 per cell]
91 O 0.702 0.460 0.522 [1 per cell]
92 O 0.789 0.037 0.687 [1 per cell]
93 O 0.791 0.175 0.189 [1 per cell]
94 O 0.807 0.029 0.405 [1 per cell]
95 O 0.811 0.172 0.904 [1 per cell]
96 O 0.828 0.975 0.800 [1 per cell]
97 O 0.830 0.205 0.300 [1 per cell]
98 O 0.830 0.975 0.085 [1 per cell]
99 O 0.832 0.188 0.586 [1 per cell]
100 O 0.832 0.692 0.239 [1 per cell]
101 O 0.837 0.470 0.740 [1 per cell]
102 O 0.837 0.707 0.523 [1 per cell]
103 O 0.843 0.460 0.022 [1 per cell]
104 O 0.855 0.504 0.420 [1 per cell]
105 O 0.857 0.644 0.920 [1 per cell]
106 O 0.874 0.631 0.637 [1 per cell]
107 O 0.875 0.493 0.136 [1 per cell]
108 O 0.970 0.831 0.301 [1 per cell]
109 O 0.971 0.211 0.801 [1 per cell]
110 O 0.974 0.836 0.585 [1 per cell]
111 O 0.976 0.189 0.085 [1 per cell]



(3)
Material: CuAg3S2
Method: DFT, PBE
State: optimized geometry

Summary:
total moment = 0.0 μB per cell

Unit cell a=8.768 b=8.768 c=11.773 alpha=90.00 beta=90.00 gamma=90.00
Space group I4_1/a (No. 88, origin choice 2)
One atom of each set of equivalent atoms:
1 Cu 0.000 0.250 0.280 [8 per cell]
2 Ag 0.000 0.000 0.500 [8 per cell]
3 Ag 0.154 0.469 0.105 [16 per cell]
4 S 0.012 0.001 0.285 [16 per cell]



(4)
Material: Hg4P2O7
Method: DFT, PBE
State: optimized geometry

Unit cell a=9.487 b=5.038 c=12.434 alpha=90.00 beta=129.77 gamma=90.00
Space group P2/c (No. 13)
One atom of each set of equivalent atoms:
1 Hg 0.056 0.060 0.377 [4 per cell]
2 Hg 0.425 0.176 0.902 [4 per cell]
3 P 0.295 0.402 0.144 [4 per cell]
4 O 0.166 0.159 0.078 [4 per cell]
5 O 0.258 0.455 0.734 [4 per cell]
6 O 0.290 0.425 0.541 [4 per cell]
7 O 0.500 0.268 0.250 [2 per cell]



(5)
Material: V5Si3N
Method: DFT, PBE
State: optimized geometry

Unit cell a=7.0949 b=7.0949 c=4.9734 alpha=90.00 beta=90.00 gamma=120.00
Space group P6_3/mcm (No. 193)
One atom of each set of equivalent atoms:
1 V 0.0000 0.2274 0.2500 [6 per cell]
2 V 0.3333 0.6667 0.0000 [4 per cell]
3 Si 0.0000 0.4091 0.7500 [6 per cell]
4 N 0.0000 0.0000 0.0000 [2 per cell]



(6)
Material: Sr2LiCBr3N2
Method: DFT, PBE
State: optimized geometry

Summary:
total moment = 0.0 μB per cell

Unit cell a=14.762 b=14.762 c=14.762 alpha=90.00 beta=90.00 gamma=90.00
Space group Fd-3m (No. 227, origin choice 2)
One atom of each set of equivalent atoms:
1 Sr 0.029 0.029 0.221 [32 per cell]
2 Li 0.000 0.000 0.500 [16 per cell]
3 C 0.000 0.000 0.000 [16 per cell]
4 Br 0.071 0.375 0.875 [48 per cell]
5 N 0.048 0.048 0.048 [32 per cell]



(7)
Material: La8Ti2Ga2O19
Method: DFT, PBE
State: optimized geometry

Summary:
total moment = 0.0 μB per cell

Unit cell a=11.185 b=3.957 c=11.406 alpha=90.00 beta=90.09 gamma=90.00
Space group Pm (No. 6)
One atom of each set of equivalent atoms:
1 La 0.000 0.000 0.000 [1 per cell]
2 La 0.035 0.000 0.654 [1 per cell]
3 La 0.266 0.500 0.156 [1 per cell]
4 La 0.307 0.500 0.507 [1 per cell]
5 La 0.485 0.000 0.921 [1 per cell]
6 La 0.523 0.000 0.301 [1 per cell]
7 La 0.764 0.500 0.776 [1 per cell]
8 La 0.802 0.500 0.438 [1 per cell]
9 Ti 0.096 0.000 0.346 [1 per cell]
10 Ti 0.207 0.500 0.845 [1 per cell]
11 Ga 0.595 0.000 0.592 [1 per cell]
12 Ga 0.718 0.500 0.091 [1 per cell]
13 O 0.120 0.500 0.987 [1 per cell]
14 O 0.136 0.000 0.181 [1 per cell]
15 O 0.139 0.500 0.339 [1 per cell]
16 O 0.170 0.000 0.842 [1 per cell]
17 O 0.172 0.500 0.684 [1 per cell]
18 O 0.183 0.000 0.489 [1 per cell]
19 O 0.364 0.500 0.888 [1 per cell]
20 O 0.406 0.000 0.115 [1 per cell]
21 O 0.406 0.500 0.320 [1 per cell]
22 O 0.438 0.000 0.532 [1 per cell]
23 O 0.616 0.500 0.967 [1 per cell]
24 O 0.624 0.000 0.761 [1 per cell]
25 O 0.647 0.500 0.596 [1 per cell]
26 O 0.667 0.500 0.239 [1 per cell]
27 O 0.683 0.000 0.441 [1 per cell]
28 O 0.869 0.500 0.043 [1 per cell]
29 O 0.896 0.000 0.818 [1 per cell]
30 O 0.910 0.500 0.617 [1 per cell]
31 O 0.942 0.000 0.392 [1 per cell]



(8)
Material: CeSe2
Method: DFT, PBE
State: optimized geometry

Summary:
total moment = 0.0 μB per cell

Unit cell a=12.5271 b=12.5271 c=51.0763 alpha=90.00 beta=90.00 gamma=120.00
Space group R-3c (No. 167, hexagonal axes)
One atom of each set of equivalent atoms:
1 Ce 0.0758 0.4971 0.0498 [36 per cell]
2 Se 0.0000 0.2285 0.7500 [18 per cell]
3 Se 0.0000 0.5000 0.0000 [18 per cell]
4 Se 0.0778 0.2282 0.6097 [36 per cell]



(9)
Material: RbTlO3
Method: DFT, PBE
State: optimized geometry

Summary:
total moment = 2.0 μB per cell

Unit cell a=4.466 b=4.466 c=4.466 alpha=90.00 beta=90.00 gamma=90.00
Space group Pm-3m (No. 221)
One atom of each set of equivalent atoms:
1 Rb 0.000 0.000 0.000 [1 per cell]
2 Tl 0.500 0.500 0.500 [1 per cell]
3 O 0.000 0.500 0.500 [3 per cell]



(10)
Material: Na2OsO4
Method: DFT, PBE
State: optimized geometry

Unit cell a=9.6666 b=9.6666 c=3.2024 alpha=90.00 beta=90.00 gamma=120.00
Space group P-62m (No. 189)
One atom of each set of equivalent atoms:
1 Na 0.0000 0.0000 0.0000 [1 per cell]
2 Na 0.0000 0.6944 0.5000 [3 per cell]
3 Na 0.3333 0.6667 0.5000 [2 per cell]
4 Os 0.0000 0.3295 0.0000 [3 per cell]
5 O 0.0000 0.1941 0.5000 [3 per cell]
6 O 0.0000 0.4568 0.5000 [3 per cell]
7 O 0.2161 0.4327 0.0000 [6 per cell]



(11)
Material: ZnCu3H6Cl2O6
Method: DFT, PBE
State: optimized geometry

Summary:
total moment = 8.3 μB per cell

Unit cell a=6.9834 b=6.9834 c=13.9625 alpha=90.00 beta=90.00 gamma=120.00
Space group R-3m (No. 166, hexagonal axes)
One atom of each set of equivalent atoms:
1 Zn 0.0000 0.0000 0.0000 [3 per cell]
2 Cu 0.0000 0.5000 0.5000 [9 per cell]
3 H 0.0667 0.5333 0.2557 [18 per cell]
4 Cl 0.0000 0.0000 0.3196 [6 per cell]
5 O 0.0829 0.5414 0.7740 [18 per cell]



(12)
Material: DyU3
Method: DFT, PBE
State: optimized geometry

Summary:
total moment = 5.2 μB per cell

Unit cell a=4.392 b=4.392 c=9.514 alpha=90.00 beta=90.00 gamma=90.00
Space group I4/mmm (No. 139)
One atom of each set of equivalent atoms:
1 Dy 0.000 0.000 0.000 [2 per cell]
2 U 0.000 0.000 0.500 [2 per cell]
3 U 0.000 0.500 0.250 [4 per cell]



| no. | density (g/cm³) | formation energy from the elements (eV per atom) |
| --- | --- | --- |
| 1 | 4.59 | -1.594 |
| 2 | 3.59 | -2.581 |
| 3 | 6.62 | -0.223 |
| 4 | 7.10 | -1.729 |
| 5 | 5.41 | -0.764 |
| 6 | 3.81 | -1.543 |
| 7 | 5.43 | -3.591 |
| 8 | 2.57 | -1.389 |
| 9 | 6.30 | -0.789 |
| 10 | 5.77 | -1.751 |
| 11 | 3.62 | -1.109 |
| 12 | 15.86 | 0.537 |